No. 1
Li9Mn2Co5O16: optimized geometry, PBE+U.

a = 5.814 Å, b = 5.867 Å, c = 10.070 Å
α = 73.08°, β = 74.16°, γ = 60.65°
Fractional coordinates of all 32 atoms:
Li1 0.507 0.997 0.498
O1 0.136 0.616 0.623
O2 0.618 0.133 0.632
Li2 0.495 0.506 0.005
O3 0.880 0.846 0.374
O4 0.632 0.601 0.624
O5 0.118 0.147 0.628
Co1 0.496 0.506 0.492
O6 0.135 0.113 0.110
Li3 0.256 0.752 0.249
O7 0.872 0.399 0.365
Li4 0.001 0.997 0.498
O8 0.383 0.377 0.384
Co2 0.742 0.253 0.748
O9 0.640 0.099 0.121
Li5 0.993 0.502 0.002
O10 0.097 0.656 0.124
Li6 0.252 0.246 0.253
O11 0.408 0.863 0.367
Co3 0.009 0.508 0.494
Li7 0.250 0.750 0.746
O12 0.852 0.901 0.886
Co4 0.248 0.252 0.750
O13 0.877 0.348 0.879
Mn1 0.000 0.998 0.004
Mn2 0.749 0.748 0.248
Li8 0.758 0.749 0.745
Li9 0.750 0.250 0.254
O14 0.352 0.888 0.891
O15 0.624 0.655 0.125
O16 0.376 0.346 0.876
Co5 0.494 0.999 0.003

ΔE_f, meV per atom: -1844
Distance to the lowest polymorph of the same formula, eV per atom: 0.0203
Space-group type: P1

No. 2
Ni2BiBP2O10: optimized geometry, PBE+U.

a = 5.111 Å, b = 6.401 Å, c = 11.359 Å
α = 90.00°, β = 90.00°, γ = 107.04°
Fractional coordinates of all 32 atoms:
O1 0.584 0.346 0.549
Bi1 0.750 0.059 0.250
P1 0.792 0.214 0.935
O2 0.126 0.374 0.250
O3 0.355 0.008 0.375
P2 0.792 0.214 0.565
O4 0.416 0.654 0.049
P3 0.208 0.786 0.065
O5 0.969 0.655 0.145
Bi2 0.250 0.941 0.750
O6 0.070 0.819 0.551
O7 0.930 0.181 0.051
Ni1 0.651 0.665 0.895
O8 0.645 0.992 0.875
O9 0.347 0.633 0.750
O10 0.416 0.654 0.451
O11 0.584 0.346 0.951
P4 0.208 0.786 0.435
O12 0.070 0.819 0.949
O13 0.874 0.626 0.750
Ni2 0.350 0.335 0.106
O14 0.031 0.345 0.855
O15 0.031 0.345 0.645
O16 0.645 0.992 0.625
O17 0.969 0.655 0.355
B1 0.060 0.487 0.750
O18 0.355 0.008 0.125
B2 0.940 0.513 0.250
O19 0.653 0.367 0.250
Ni3 0.650 0.665 0.606
O20 0.930 0.181 0.449
Ni4 0.349 0.335 0.395

ΔE_f, meV per atom: -2278
Space-group type: P2_1/m

No. 3
SrV2TeO8: optimized geometry, PBE+U.

a = 10.338 Å, b = 11.323 Å, c = 14.162 Å
α = 84.01°, β = 70.67°, γ = 72.60°
Fractional coordinates of all 96 atoms:
O1 0.788 0.867 0.111
Sr1 0.066 0.827 0.066
O2 0.578 0.598 0.407
O3 0.480 0.951 0.868
O4 0.698 0.772 0.831
O5 0.428 0.191 0.432
O6 0.202 0.138 0.395
V1 0.074 0.825 0.818
O7 0.458 0.736 0.785
O8 0.920 0.852 0.262
O9 0.198 0.831 0.214
O10 0.798 0.862 0.605
O11 0.413 0.394 0.068
O12 0.422 0.402 0.593
O13 0.041 0.939 0.898
O14 0.636 0.497 0.185
V2 0.346 0.082 0.940
V3 0.169 0.526 0.380
V4 0.831 0.474 0.620
O15 0.430 0.189 0.934
O16 0.045 0.453 0.391
O17 0.726 0.964 0.930
O18 0.033 0.946 0.396
O19 0.428 0.745 0.285
O20 0.080 0.148 0.738
V5 0.941 0.168 0.682
Sr2 0.572 0.351 0.872
O21 0.202 0.620 0.102
V6 0.493 0.767 0.884
Te1 0.786 0.547 0.382
Te2 0.205 0.455 0.125
O22 0.967 0.054 0.604
O23 0.339 0.781 0.485
O24 0.172 0.438 0.997
O25 0.955 0.547 0.609
O26 0.710 0.497 0.736
Sr3 0.557 0.358 0.366
O27 0.082 0.693 0.397
Te3 0.795 0.545 0.875
O28 0.467 0.952 0.366
O29 0.520 0.049 0.132
O30 0.302 0.228 0.169
O31 0.718 0.962 0.429
V7 0.654 0.918 0.060
O32 0.933 0.850 0.762
Sr4 0.931 0.185 0.433
O33 0.120 0.458 0.808
Sr5 0.428 0.649 0.128
O34 0.204 0.617 0.633
O35 0.659 0.212 0.017
Te4 0.278 0.068 0.201
O36 0.364 0.503 0.815
Te5 0.708 0.933 0.299
O37 0.572 0.809 0.568
O38 0.796 0.383 0.367
O39 0.880 0.542 0.192
O40 0.271 0.471 0.465
O41 0.542 0.264 0.215
O42 0.828 0.562 0.003
Sr6 0.934 0.173 0.934
Te6 0.214 0.453 0.618
O43 0.317 0.227 0.672
Te7 0.722 0.932 0.799
O44 0.661 0.219 0.515
V8 0.926 0.175 0.182
V9 0.810 0.482 0.122
V10 0.658 0.915 0.559
O45 0.282 0.038 0.571
O46 0.290 0.503 0.264
Te8 0.292 0.067 0.701
V11 0.480 0.766 0.379
O47 0.099 0.686 0.894
O48 0.341 0.788 0.983
O49 0.067 0.150 0.238
O50 0.570 0.811 0.066
O51 0.683 0.773 0.328
O52 0.587 0.606 0.932
O53 0.802 0.169 0.786
Sr7 0.443 0.642 0.634
O54 0.959 0.061 0.102
O55 0.212 0.133 0.889
V12 0.190 0.518 0.878
O56 0.918 0.307 0.603
V13 0.342 0.085 0.441
O57 0.784 0.171 0.282
O58 0.901 0.314 0.106
Sr8 0.069 0.815 0.567
V14 0.507 0.233 0.116
V15 0.520 0.234 0.621
O59 0.216 0.829 0.718
O60 0.729 0.529 0.535
O61 0.274 0.036 0.070
O62 0.572 0.255 0.715
V16 0.059 0.832 0.318
O63 0.533 0.048 0.634
O64 0.798 0.380 0.898

ΔE_f, meV per atom: -2391
Space-group type: P-1

No. 4
VOF: optimized geometry, PBE+U.

a = 5.004 Å, b = 7.022 Å, c = 4.985 Å
α = 73.58°, β = 101.69°, γ = 73.48°
Fractional coordinates of all 12 atoms:
F1 0.574 0.353 0.324
V1 0.576 0.848 0.826
F2 0.074 0.353 0.824
V2 0.424 0.152 0.174
V3 0.076 0.848 0.326
O1 0.784 0.932 0.534
O2 0.284 0.932 0.034
O3 0.216 0.068 0.466
O4 0.716 0.068 0.966
F3 0.426 0.647 0.676
F4 0.926 0.647 0.176
V4 0.924 0.152 0.674

ΔE_f, meV per atom: -2829

No. 5
Li4Mn3Fe2Co3O16: optimized geometry, PBE+U.

a = 5.747 Å, b = 5.773 Å, c = 9.448 Å
α = 89.96°, β = 90.03°, γ = 120.00°
Fractional coordinates of all 28 atoms:
O1 0.481 0.962 0.336
O2 0.036 0.513 0.329
Mn1 0.830 0.169 0.715
O3 0.001 0.001 0.811
O4 0.001 0.000 0.309
Co1 0.340 0.170 0.714
Li1 0.005 0.000 0.998
Li2 0.665 0.330 0.388
Co2 0.169 0.830 0.214
O5 0.843 0.163 0.105
O6 0.837 0.677 0.103
O7 0.518 0.483 0.835
Fe1 0.327 0.665 0.491
O8 0.160 0.325 0.602
Co3 0.169 0.337 0.213
O9 0.519 0.036 0.837
O10 0.333 0.666 0.109
Mn2 0.661 0.830 0.215
Mn3 0.830 0.662 0.715
O11 0.668 0.335 0.607
Fe2 0.662 0.335 0.994
Li3 0.335 0.668 0.893
O12 0.160 0.836 0.602
O13 0.320 0.165 0.108
O14 0.477 0.513 0.333
Li4 0.010 0.006 0.497
O15 0.677 0.839 0.602
O16 0.966 0.483 0.835

ΔE_f, meV per atom: -1745
Space-group type: P1

No. 6
Li4Ti3Cr3Sb2O16: optimized geometry, PBE+U.

a = 5.984 Å, b = 5.984 Å, c = 10.155 Å
α = 89.72°, β = 89.72°, γ = 60.24°
Fractional coordinates of all 28 atoms:
O1 0.315 0.848 0.611
Sb1 0.336 0.336 0.993
Ti1 0.345 0.833 0.218
O2 0.002 0.002 0.812
Cr1 0.170 0.662 0.721
O3 0.499 0.981 0.315
Cr2 0.831 0.831 0.207
Li1 0.000 0.000 0.496
O4 0.844 0.844 0.610
Ti2 0.833 0.345 0.218
O5 0.032 0.477 0.837
O6 0.981 0.499 0.315
O7 0.483 0.483 0.837
O8 0.001 0.001 0.307
O9 0.511 0.511 0.316
O10 0.848 0.315 0.611
Cr3 0.662 0.170 0.721
Ti3 0.172 0.172 0.723
O11 0.156 0.156 0.097
O12 0.329 0.329 0.614
O13 0.662 0.662 0.107
Sb2 0.669 0.669 0.511
O14 0.159 0.686 0.096
Li2 0.999 0.999 0.992
O15 0.686 0.159 0.096
Li3 0.333 0.333 0.393
Li4 0.666 0.666 0.898
O16 0.477 0.032 0.837

ΔE_f, meV per atom: -2608
Space-group type: Cm

No. 7
Li4CrTeW2O12: optimized geometry, PBE+U.

a = 5.194 Å, b = 5.468 Å, c = 7.549 Å
α = 85.81°, β = 89.92°, γ = 89.87°
Fractional coordinates of all 20 atoms:
Li1 0.006 0.561 0.800
Te1 0.503 0.507 0.505
Li2 0.503 0.064 0.811
O1 0.634 0.492 0.751
W1 0.005 0.007 0.501
O2 0.321 0.164 0.563
Cr1 0.998 0.002 0.998
O3 0.303 0.791 0.938
O4 0.169 0.675 0.560
O5 0.369 0.486 0.248
Li3 0.491 0.021 0.241
O6 0.209 0.302 0.935
O7 0.685 0.194 0.048
O8 0.881 0.995 0.738
W2 0.497 0.499 0.003
O9 0.112 0.978 0.258
O10 0.689 0.815 0.426
O11 0.798 0.686 0.050
Li4 0.998 0.590 0.267
O12 0.829 0.313 0.430

ΔE_f, meV per atom: -2140
Distance to the lowest polymorph of the same formula, eV per atom: 0.0153
Space-group type: P1

No. 8
MgFe4Hg2O8: optimized geometry, PBE+U.

a = 6.700 Å, b = 6.700 Å, c = 6.700 Å
α = 60.00°, β = 60.00°, γ = 60.00°
Fractional coordinates of all 15 atoms:
O1 0.733 0.733 0.302
Hg1 0.125 0.125 0.125
O2 0.733 0.302 0.733
O3 0.733 0.733 0.733
Hg2 0.875 0.875 0.875
O4 0.263 0.263 0.263
Fe1 0.518 0.518 0.518
O5 0.263 0.710 0.263
O6 0.302 0.733 0.733
O7 0.710 0.263 0.263
Fe2 0.518 0.945 0.518
Fe3 0.518 0.518 0.945
Fe4 0.945 0.518 0.518
Mg1 0.375 0.375 0.375
O8 0.263 0.263 0.710

ΔE_f, meV per atom: -1009
Distance to the lowest polymorph of the same formula, eV per atom: 0.3877
Space-group type: F-43m

No. 9
Li2Mn3NbO8: optimized geometry, PBE+U.

a = 6.235 Å, b = 11.036 Å, c = 5.840 Å
α = 90.00°, β = 117.93°, γ = 68.35°
Fractional coordinates of all 28 atoms:
Mn1 0.500 0.000 0.500
O1 0.247 0.876 0.399
O2 0.753 0.124 0.601
O3 0.299 0.625 0.651
O4 0.752 0.125 0.147
O5 0.723 0.898 0.362
O6 0.248 0.876 0.853
Mn2 0.000 0.500 0.000
O7 0.247 0.376 0.347
O8 0.723 0.398 0.861
O9 0.277 0.102 0.638
Li1 0.883 0.694 0.445
O10 0.701 0.874 0.852
Mn3 0.000 0.000 0.500
O11 0.299 0.126 0.148
Li2 0.117 0.806 0.061
Nb1 0.500 0.750 0.754
Mn4 0.500 0.000 0.000
Nb2 0.500 0.250 0.246
O12 0.752 0.625 0.105
O13 0.701 0.374 0.349
O14 0.753 0.624 0.653
O15 0.248 0.375 0.895
O16 0.277 0.602 0.139
Li3 0.883 0.194 0.939
Mn5 0.500 0.500 0.000
Mn6 0.500 0.500 0.500
Li4 0.116 0.306 0.555

ΔE_f, meV per atom: -2339
Distance to the lowest polymorph of the same formula, eV per atom: 0.0204
Space-group type: C2/c

No. 10
CaV2CoO7: optimized geometry, PBE+U.

a = 14.684 Å, b = 6.846 Å, c = 11.389 Å
α = 80.09°, β = 90.00°, γ = 90.00°
Fractional coordinates of all 88 atoms:
Co1 0.753 0.001 0.246
O1 0.136 0.035 0.636
Ca1 0.992 0.921 0.231
O2 0.841 0.050 0.606
V1 0.629 0.161 0.481
O3 0.527 0.767 0.052
O4 0.981 0.241 0.962
O5 0.251 0.690 0.276
O6 0.941 0.391 0.677
O7 0.378 0.597 0.088
V2 0.371 0.839 0.519
O8 0.864 0.965 0.364
O9 0.473 0.233 0.948
V3 0.363 0.130 0.984
Co2 0.247 0.999 0.754
O10 0.141 0.995 0.882
O11 0.479 0.280 0.710
O12 0.636 0.965 0.864
O13 0.249 0.690 0.776
O14 0.027 0.233 0.448
O15 0.105 0.426 0.792
V4 0.796 0.494 0.295
O16 0.144 0.988 0.129
O17 0.296 0.634 0.538
O18 0.713 0.677 0.045
O19 0.796 0.366 0.962
O20 0.021 0.280 0.210
Co3 0.824 0.363 0.575
Co4 0.253 0.999 0.254
V5 0.863 0.870 0.516
Ca2 0.871 0.675 0.971
O21 0.519 0.241 0.462
Co5 0.676 0.363 0.075
Ca3 0.629 0.675 0.471
O22 0.270 0.299 0.707
O23 0.019 0.759 0.038
O24 0.230 0.299 0.207
O25 0.441 0.609 0.823
V6 0.013 0.586 0.685
O26 0.751 0.310 0.224
O27 0.159 0.950 0.394
Ca4 0.371 0.325 0.529
Co6 0.747 0.001 0.746
O28 0.287 0.323 0.955
O29 0.364 0.035 0.136
O30 0.356 0.988 0.629
Ca5 0.129 0.325 0.029
O31 0.859 0.005 0.118
V7 0.871 0.161 0.981
O32 0.644 0.012 0.371
Co7 0.176 0.637 0.425
O33 0.749 0.310 0.724
V8 0.987 0.414 0.315
O34 0.878 0.403 0.412
O35 0.787 0.677 0.545
V9 0.637 0.870 0.016
V10 0.296 0.506 0.205
O36 0.481 0.759 0.538
V11 0.129 0.839 0.019
V12 0.704 0.494 0.795
O37 0.395 0.426 0.292
V13 0.513 0.414 0.815
O38 0.856 0.012 0.871
Ca6 0.008 0.079 0.769
V14 0.204 0.506 0.705
Co8 0.324 0.637 0.925
O39 0.204 0.634 0.038
O40 0.559 0.391 0.177
O41 0.973 0.767 0.552
O42 0.770 0.701 0.793
O43 0.704 0.366 0.462
O44 0.213 0.323 0.455
V15 0.487 0.586 0.185
O45 0.122 0.597 0.588
O46 0.605 0.574 0.708
O47 0.622 0.403 0.912
O48 0.730 0.701 0.293
Ca7 0.508 0.921 0.731
V16 0.137 0.130 0.484
O49 0.341 0.950 0.894
O50 0.359 0.995 0.382
O51 0.521 0.720 0.290
O52 0.979 0.720 0.790
Ca8 0.492 0.079 0.269
O53 0.059 0.609 0.323
O54 0.641 0.005 0.618
O55 0.659 0.050 0.106
O56 0.895 0.574 0.208

ΔE_f, meV per atom: -2447
Space-group type: P2_1/c

Which value of ΔE_f does entry 8 give?
-1009 meV per atom